# Na3InAs2, relaxed, DFT PBE
# total DFT energy (no corrections)	-3.106	eV/atom
# energy relative to the elements	-0.433	eV/atom
data_Na3InAs2
_symmetry_space_group_name_H-M 'P 1 21/c 1'
_symmetry_Int_Tables_number 14
_symmetry_space_group_name_Hall '-P 2ybc'
_cell_length_a 9.8020
_cell_length_b 7.6037
_cell_length_c 15.8913
_cell_angle_alpha 90.00
_cell_angle_beta 92.83
_cell_angle_gamma 90.00
loop_
_atom_site_label
_atom_site_type_symbol
_atom_site_fract_x
_atom_site_fract_y
_atom_site_fract_z
Na1 Na 0.0607 0.0111 0.3947
Na2 Na 0.1168 0.1526 0.0467
Na3 Na 0.1790 0.5083 0.3621
Na4 Na 0.3124 0.0318 0.6488
Na5 Na 0.3739 0.1513 0.2970
Na6 Na 0.4332 0.5261 0.6055
In1 In 0.1378 0.6538 0.7095
In2 In 0.3748 0.6404 0.9585
As1 As 0.0934 0.2104 0.2260
As2 As 0.1512 0.7370 0.5399
As3 As 0.3717 0.2219 0.4770
As4 As 0.3778 0.7420 0.7928

# RbCuO3, relaxed, DFT PBE
# total DFT energy (no corrections)	-4.232	eV/atom
# energy relative to the elements	-0.659	eV/atom
data_RbCuO3
_symmetry_space_group_name_H-M 'P m -3 m'
_symmetry_Int_Tables_number 221
_symmetry_space_group_name_Hall '-P 4 2 3'
_cell_length_a 4.0461
_cell_length_b 4.0461
_cell_length_c 4.0461
_cell_angle_alpha 90.00
_cell_angle_beta 90.00
_cell_angle_gamma 90.00
loop_
_atom_site_label
_atom_site_type_symbol
_atom_site_fract_x
_atom_site_fract_y
_atom_site_fract_z
Rb1 Rb 0.0000 0.0000 0.0000
Cu1 Cu 0.5000 0.5000 0.5000
O1 O 0.0000 0.5000 0.5000

# ZrWC2, relaxed, DFT PBE
# total DFT energy (no corrections)	-10.346	eV/atom
# energy relative to the elements	-0.356	eV/atom
data_ZrWC2
_symmetry_space_group_name_H-M 'R -3 m'
_symmetry_Int_Tables_number 166
_symmetry_space_group_name_Hall '-R 3 2"'
_cell_length_a 3.2019
_cell_length_b 3.2019
_cell_length_c 15.7594
_cell_angle_alpha 90.00
_cell_angle_beta 90.00
_cell_angle_gamma 120.00
loop_
_atom_site_label
_atom_site_type_symbol
_atom_site_fract_x
_atom_site_fract_y
_atom_site_fract_z
Zr1 Zr 0.0000 0.0000 0.0000
W1 W 0.0000 0.0000 0.5000
C1 C 0.0000 0.0000 0.2436

# USnAu, relaxed, DFT PBE
# total DFT energy (no corrections)	-6.424	eV/atom
# energy relative to the elements	-0.233	eV/atom
data_USnAu
_symmetry_space_group_name_H-M 'P 63/m m c'
_symmetry_Int_Tables_number 194
_symmetry_space_group_name_Hall '-P 6c 2c'
_cell_length_a 5.1356
_cell_length_b 5.1356
_cell_length_c 5.8294
_cell_angle_alpha 90.00
_cell_angle_beta 90.00
_cell_angle_gamma 120.00
loop_
_atom_site_label
_atom_site_type_symbol
_atom_site_fract_x
_atom_site_fract_y
_atom_site_fract_z
U1 U 0.0000 0.0000 0.0000
Sn1 Sn 0.3333 0.6667 0.2500
Au1 Au 0.3333 0.6667 0.7500

# Mg3Si2, relaxed, DFT PBE
# total DFT energy (no corrections)	-3.070	eV/atom
# energy relative to the elements	0.088	eV/atom
data_Mg3Si2
_symmetry_space_group_name_H-M 'P -1'
_symmetry_Int_Tables_number 2
_symmetry_space_group_name_Hall '-P 1'
_cell_length_a 4.4460
_cell_length_b 5.4889
_cell_length_c 8.7760
_cell_angle_alpha 99.04
_cell_angle_beta 91.67
_cell_angle_gamma 104.23
loop_
_atom_site_label
_atom_site_type_symbol
_atom_site_fract_x
_atom_site_fract_y
_atom_site_fract_z
Mg1 Mg 0.0992 0.4969 0.2323
Mg2 Mg 0.2818 0.1018 0.6095
Mg3 Mg 0.3453 0.2021 0.9538
Si1 Si 0.2407 0.0228 0.2311
Si2 Si 0.3913 0.6204 0.6009

# Tb3Np, relaxed, DFT PBE
# total DFT energy (no corrections)	-6.312	eV/atom
# energy relative to the elements	0.401	eV/atom
data_Tb3Np
_symmetry_space_group_name_H-M 'P m -3 m'
_symmetry_Int_Tables_number 221
_symmetry_space_group_name_Hall '-P 4 2 3'
_cell_length_a 4.9425
_cell_length_b 4.9425
_cell_length_c 4.9425
_cell_angle_alpha 90.00
_cell_angle_beta 90.00
_cell_angle_gamma 90.00
loop_
_atom_site_label
_atom_site_type_symbol
_atom_site_fract_x
_atom_site_fract_y
_atom_site_fract_z
Tb1 Tb 0.0000 0.0000 0.5000
Np1 Np 0.5000 0.5000 0.5000

# MgSi, relaxed, DFT PBE
# total DFT energy (no corrections)	-3.430	eV/atom
# energy relative to the elements	0.118	eV/atom
data_MgSi
_symmetry_space_group_name_H-M 'C 1 2/m 1'
_symmetry_Int_Tables_number 12
_symmetry_space_group_name_Hall '-C 2y'
_cell_length_a 9.1333
_cell_length_b 4.4421
_cell_length_c 11.8437
_cell_angle_alpha 90.00
_cell_angle_beta 101.88
_cell_angle_gamma 90.00
loop_
_atom_site_label
_atom_site_type_symbol
_atom_site_fract_x
_atom_site_fract_y
_atom_site_fract_z
Mg1 Mg 0.0196 0.0000 0.2080
Mg2 Mg 0.1282 0.5000 0.4154
Mg3 Mg 0.2233 0.5000 0.9026
Si1 Si 0.0768 0.0000 0.5917
Si2 Si 0.0919 0.5000 0.0952
Si3 Si 0.1819 0.5000 0.6603

# H16OsC4S4Br8N8O3, relaxed, DFT PBE
# total DFT energy (no corrections)	-4.882	eV/atom
# energy relative to the elements	-0.120	eV/atom
data_H16OsC4S4Br8N8O3
_symmetry_space_group_name_H-M 'C m c m'
_symmetry_Int_Tables_number 63
_symmetry_space_group_name_Hall '-C 2c 2'
_cell_length_a 12.3760
_cell_length_b 14.3812
_cell_length_c 17.3681
_cell_angle_alpha 90.00
_cell_angle_beta 90.00
_cell_angle_gamma 90.00
loop_
_atom_site_label
_atom_site_type_symbol
_atom_site_fract_x
_atom_site_fract_y
_atom_site_fract_z
H1 H 0.1138 0.1992 0.0089
H2 H 0.1501 0.2158 0.6207
H3 H 0.1749 0.1082 0.0615
H4 H 0.2440 0.1368 0.6680
Os1 Os 0.0000 0.1541 0.2500
C1 C 0.2175 0.1186 0.5521
S1 S 0.1905 0.4771 0.0554
Br1 Br 0.0000 0.0294 0.1493
Br2 Br 0.0000 0.2757 0.1493
Br3 Br 0.0000 0.3073 0.5785
Br4 Br 0.2003 0.1503 0.2500
N1 N 0.1680 0.1451 0.0116
N2 N 0.2059 0.1622 0.6182
O1 O 0.0000 0.4724 0.7500
O2 O 0.2006 0.4141 0.2500